[1]
{"formula": "EuAl4", "functional": "PBE", "state": "relaxed", "rho_g_cm3": 4.00, "sg": "I4/mmm, No. 139", "delta_e_f_ev_per_fu": -1.440, "crystal_system": "tetragonal", "dft_energy_ev_per_atom": -5.336, "lattice": [[-2.1844, 2.1844, 5.6511], [2.1844, -2.1844, 5.6511], [2.1844, 2.1844, -5.6511]], "species": ["Eu", "Al", "Al", "Al", "Al"], "fractional_positions": [[0.0000, 0.0000, 0.0000], [0.2500, 0.7500, 0.5000], [0.3864, 0.3864, 0.0000], [0.6136, 0.6136, 0.0000], [0.7500, 0.2500, 0.5000]]}

[2]
{"formula": "EuAl8Fe4", "functional": "PBE", "state": "relaxed", "rho_g_cm3": 5.07, "sg": "I4/mmm, No. 139", "delta_e_f_ev_per_fu": -4.663, "crystal_system": "tetragonal", "dft_energy_ev_per_atom": -6.059, "lattice": [[-4.3865, 4.3865, 2.5140], [4.3865, -4.3865, 2.5140], [4.3865, 4.3865, -2.5140]], "species": ["Eu", "Al", "Al", "Al", "Al", "Al", "Al", "Al", "Al", "Fe", "Fe", "Fe", "Fe"], "fractional_positions": [[0.0000, 0.0000, 0.0000], [0.0000, 0.3406, 0.3406], [0.0000, 0.6594, 0.6594], [0.2750, 0.5000, 0.7750], [0.3406, 0.0000, 0.3406], [0.5000, 0.2750, 0.7750], [0.5000, 0.7250, 0.2250], [0.6594, 0.0000, 0.6594], [0.7250, 0.5000, 0.2250], [0.0000, 0.0000, 0.5000], [0.0000, 0.5000, 0.0000], [0.5000, 0.0000, 0.0000], [0.5000, 0.5000, 0.5000]]}

[3]
{"formula": "EuAlGa", "functional": "PBE", "state": "relaxed", "rho_g_cm3": 6.00, "sg": "C2/m, No. 12", "delta_e_f_ev_per_fu": -1.413, "crystal_system": "monoclinic", "dft_energy_ev_per_atom": -6.148, "magmom_total_mub_per_fu": 7.09, "lattice": [[5.4173, -2.3271, 0.0000], [5.4173, 2.3271, 0.0000], [-5.2937, 0.0000, 5.4546]], "species": ["Eu", "Eu", "Al", "Al", "Ga", "Ga"], "fractional_positions": [[0.0378, 0.0378, 0.2883], [0.9622, 0.9622, 0.7117], [0.3354, 0.3354, 0.8896], [0.6646, 0.6646, 0.1104], [0.3367, 0.3367, 0.2836], [0.6633, 0.6633, 0.7164]]}

What did the second record say?
{"formula": "EuAl8Fe4", "functional": "PBE", "state": "relaxed", "rho_g_cm3": 5.07, "sg": "I4/mmm, No. 139", "delta_e_f_ev_per_fu": -4.663, "crystal_system": "tetragonal", "dft_energy_ev_per_atom": -6.059, "lattice": [[-4.3865, 4.3865, 2.5140], [4.3865, -4.3865, 2.5140], [4.3865, 4.3865, -2.5140]], "species": ["Eu", "Al", "Al", "Al", "Al", "Al", "Al", "Al", "Al", "Fe", "Fe", "Fe", "Fe"], "fractional_positions": [[0.0000, 0.0000, 0.0000], [0.0000, 0.3406, 0.3406], [0.0000, 0.6594, 0.6594], [0.2750, 0.5000, 0.7750], [0.3406, 0.0000, 0.3406], [0.5000, 0.2750, 0.7750], [0.5000, 0.7250, 0.2250], [0.6594, 0.0000, 0.6594], [0.7250, 0.5000, 0.2250], [0.0000, 0.0000, 0.5000], [0.0000, 0.5000, 0.0000], [0.5000, 0.0000, 0.0000], [0.5000, 0.5000, 0.5000]]}